CaAl9Ni: relaxed, PBE-GGA.

Properties
As for the formation energy: -0.241 eV per atom. Its symmetry is P6_3/mmc. The calculation puts the density at 2.88 g cm⁻³.

Unit cell a=7.554 b=7.554 c=7.970 alpha=90.00 beta=90.00 gamma=120.00
Fractional coordinates of all 22 atoms:
Ca (0.000, 0.000, 0.250)
Ca (0.000, 0.000, 0.750)
Al (0.049, 0.524, 0.250)
Al (0.208, 0.416, 0.516)
Al (0.208, 0.416, 0.984)
Al (0.208, 0.792, 0.516)
Al (0.208, 0.792, 0.984)
Al (0.416, 0.208, 0.016)
Al (0.416, 0.208, 0.484)
Al (0.476, 0.524, 0.250)
Al (0.476, 0.951, 0.250)
Al (0.524, 0.049, 0.750)
Al (0.524, 0.476, 0.750)
Al (0.584, 0.792, 0.516)
Al (0.584, 0.792, 0.984)
Al (0.792, 0.208, 0.016)
Al (0.792, 0.208, 0.484)
Al (0.792, 0.584, 0.016)
Al (0.792, 0.584, 0.484)
Al (0.951, 0.476, 0.750)
Ni (0.333, 0.667, 0.750)
Ni (0.667, 0.333, 0.250)

=====

La6S3O2F8: relaxed, PBE-GGA.

Properties
As for the formation energy: -3.910 eV per atom. Its symmetry is Pm. The size of the total moment comes out at 0.00 μB/f.u. The calculation puts the MP2020-corrected energy at -7.449 eV/atom. The calculation puts the density at 5.59 g cm⁻³.

Unit cell a=13.802 b=3.971 c=13.901 alpha=90.00 beta=119.75 gamma=90.00
Fractional coordinates of all 38 atoms:
La (0.000, 0.000, 0.000)
La (0.042, 0.500, 0.279)
La (0.153, 0.500, 0.625)
La (0.225, 0.500, 0.933)
La (0.329, 0.000, 0.514)
La (0.410, 0.000, 0.830)
La (0.505, 0.000, 0.172)
La (0.569, 0.500, 0.465)
La (0.666, 0.000, 0.750)
La (0.753, 0.000, 0.088)
La (0.817, 0.500, 0.365)
La (0.884, 0.500, 0.690)
S (0.083, 0.000, 0.756)
S (0.472, 0.500, 0.695)
S (0.562, 0.500, 0.044)
S (0.753, 0.000, 0.505)
S (0.814, 0.500, 0.946)
S (0.997, 0.000, 0.415)
O (0.259, 0.000, 0.639)
O (0.300, 0.500, 0.815)
O (0.698, 0.500, 0.662)
O (0.843, 0.500, 0.206)
F (0.027, 0.500, 0.905)
F (0.080, 0.500, 0.122)
F (0.171, 0.000, 0.321)
F (0.184, 0.000, 0.026)
F (0.206, 0.500, 0.472)
F (0.350, 0.000, 0.980)
F (0.377, 0.500, 0.429)
F (0.383, 0.500, 0.131)
F (0.483, 0.000, 0.333)
F (0.528, 0.000, 0.545)
F (0.603, 0.500, 0.298)
F (0.613, 0.000, 0.893)
F (0.714, 0.000, 0.251)
F (0.868, 0.000, 0.792)
F (0.949, 0.500, 0.560)
F (0.961, 0.000, 0.154)

=====

HoSiPt2: relaxed, PBE-GGA.

Properties
As for the formation energy: -1.169 eV per atom. Its symmetry is Pnma. The calculation puts the density at 13.71 g cm⁻³.

Unit cell a=7.335 b=6.963 c=5.532 alpha=90.00 beta=90.00 gamma=90.00
Fractional coordinates of all 16 atoms:
Ho (0.029, 0.250, 0.139)
Ho (0.471, 0.750, 0.639)
Ho (0.529, 0.250, 0.361)
Ho (0.971, 0.750, 0.861)
Si (0.120, 0.750, 0.361)
Si (0.380, 0.250, 0.861)
Si (0.620, 0.750, 0.139)
Si (0.880, 0.250, 0.639)
Pt (0.181, 0.051, 0.592)
Pt (0.181, 0.449, 0.592)
Pt (0.319, 0.551, 0.092)
Pt (0.319, 0.949, 0.092)
Pt (0.681, 0.051, 0.908)
Pt (0.681, 0.449, 0.908)
Pt (0.819, 0.551, 0.408)
Pt (0.819, 0.949, 0.408)

=====

PuFe2Si2: relaxed, PBE-GGA.

Properties
As for the formation energy: -0.173 eV per atom. Its symmetry is I4/mmm. The size of the total moment comes out at 0.04 μB/f.u. The calculation puts the MP2020-corrected energy at -8.585 eV/atom. The calculation puts the density at 9.48 g cm⁻³.

Unit cell a=5.455 b=5.455 c=5.455 alpha=137.92 beta=137.92 gamma=61.03
Fractional coordinates of all 5 atoms:
Pu (0.000, 0.000, 0.000)
Fe (0.250, 0.750, 0.500)
Fe (0.750, 0.250, 0.500)
Si (0.371, 0.371, 0.000)
Si (0.629, 0.629, 0.000)